This record from Materials Project describes crystalline Sr2CeBiO6 at its relaxed geometry. The functional is PBE.

E (MP2020), eV per atom: -7.057
Volume, Å³/atom: 17.1
DFT total energy, eV per atom: -6.645

Lattice parameters (Å, degrees): 6.2283 6.2283 6.2283 60.00 60.00 60.00
Atoms (fractional coordinates):
Sr (0.2500, 0.2500, 0.2500)
Sr (0.7500, 0.7500, 0.7500)
Ce (0.0000, 0.0000, 0.0000)
Bi (0.5000, 0.5000, 0.5000)
O (0.2497, 0.2497, 0.7503)
O (0.2497, 0.7503, 0.2497)
O (0.2497, 0.7503, 0.7503)
O (0.7503, 0.2497, 0.2497)
O (0.7503, 0.2497, 0.7503)
O (0.7503, 0.7503, 0.2497)

---

This record from Materials Project describes crystalline Ho2MgSe4 at its relaxed geometry. The functional is PBE.

E (MP2020), eV per atom: -5.497
Energy above the lowest structure with this stoichiometry, meV per atom: 0
Volume, Å³/atom: 28.4
DFT total energy, eV per atom: -5.227

Lattice parameters (Å, degrees): 8.2517 8.2517 8.2517 60.00 60.00 60.00
Atoms (fractional coordinates):
Ho (0.0000, 0.0000, 0.0000)
Ho (0.0000, 0.0000, 0.5000)
Ho (0.0000, 0.5000, 0.0000)
Ho (0.5000, 0.0000, 0.0000)
Mg (0.3750, 0.3750, 0.3750)
Mg (0.6250, 0.6250, 0.6250)
Se (0.2352, 0.7549, 0.7549)
Se (0.2451, 0.2451, 0.2451)
Se (0.2451, 0.2451, 0.7648)
Se (0.2451, 0.7648, 0.2451)
Se (0.7549, 0.2352, 0.7549)
Se (0.7549, 0.7549, 0.2352)
Se (0.7549, 0.7549, 0.7549)
Se (0.7648, 0.2451, 0.2451)

---

This record from Materials Project describes crystalline MgZn at its relaxed geometry. The functional is PBE.

Volume, Å³/atom: 18.5
DFT total energy, eV per atom: -1.450

Lattice parameters (Å, degrees): 4.8003 7.7396 7.7396 22.73 90.00 90.00
Atoms (fractional coordinates):
Mg (0.0000, 0.0000, 0.0000)
Mg (0.0000, 0.3252, 0.3252)
Mg (0.5000, 0.5590, 0.5590)
Zn (0.0000, 0.6650, 0.6650)
Zn (0.5000, 0.2219, 0.2219)
Zn (0.5000, 0.8852, 0.8852)

---

This record from Materials Project describes crystalline LiH at its relaxed geometry. The functional is PBE.

E (MP2020), eV per atom: -3.146
Volume, Å³/atom: 8.0
DFT total energy, eV per atom: -3.057

Lattice parameters (Å, degrees): 2.8286 2.8286 2.8286 60.00 60.00 60.00
Atoms (fractional coordinates):
Li (0.0000, 0.0000, 0.0000)
H (0.5000, 0.5000, 0.5000)